Entry 1:
Material: La12Ga23MoO56
Method: DFT, PBE+U
State: optimized geometry

* energy of formation from the pure elements: -2.803 eV/atom
* symmetry: P1
* uncorrected energy: -0.2529 Ha/atom

Cell and atoms, written as CIF:
```
data_La12Ga23MoO56
_chemical_formula_sum 'La12 Ga23 Mo1 O56'
_space_group_name_H-M_alt 'P 1'
_space_group_IT_number 1
_cell_length_a 9.7919
_cell_length_b 9.7948
_cell_length_c 13.2780
_cell_angle_alpha 98.45
_cell_angle_beta 98.41
_cell_angle_gamma 94.63
loop_
_space_group_symop_operation_xyz
'x,y,z'
loop_
_atom_site_label
_atom_site_fract_x
_atom_site_fract_y
_atom_site_fract_z
La1 0.3557 0.9362 0.6483
La2 0.6837 0.1034 0.8934
La3 0.9366 0.3564 0.6471
La4 0.4256 0.8588 0.1400
La5 0.4586 0.4590 0.9583
La6 0.2095 0.2089 0.2099
La7 0.9683 0.9680 0.4684
La8 0.1853 0.6047 0.3961
La9 0.8584 0.4256 0.1404
La10 0.6052 0.1855 0.3960
La11 0.1036 0.6846 0.8927
La12 0.7095 0.7101 0.7092
O1 0.5398 0.8715 0.7957
O2 0.0277 0.8100 0.0420
O3 0.4622 0.1253 0.2039
O4 0.3052 0.1625 0.6155
O5 0.9952 0.0642 0.1534
O6 0.0567 0.9130 0.8667
O7 0.9322 0.1534 0.9246
O8 0.7984 0.6654 0.1190
O9 0.3066 0.4566 0.2317
O10 0.0622 0.2050 0.4808
O11 0.7895 0.5732 0.2936
O12 0.5629 0.7078 0.9844
O13 0.2332 0.9199 0.2272
O14 0.2371 0.6951 0.6165
O15 0.3473 0.8899 0.9665
O16 0.7906 0.1180 0.5433
O17 0.2943 0.4380 0.4843
O18 0.9879 0.4450 0.8672
O19 0.5645 0.4163 0.3666
O20 0.8459 0.3844 0.4654
O21 0.2430 0.3197 0.9009
O22 0.5525 0.6857 0.2312
O23 0.7360 0.1968 0.1175
O24 0.8058 0.6575 0.8819
O25 0.7144 0.3803 0.9583
O26 0.9776 0.6689 0.4750
O27 0.1830 0.4039 0.6742
O28 0.0338 0.3714 0.2923
O29 0.0536 0.9093 0.6333
O30 0.2840 0.0638 0.7933
O31 0.6870 0.6189 0.5288
O32 0.4816 0.1701 0.9761
O33 0.2903 0.6261 0.0479
O34 0.0922 0.6404 0.2157
O35 0.5334 0.3137 0.5428
O36 0.5711 0.8837 0.5773
O37 0.9612 0.6278 0.7044
O38 0.4336 0.6503 0.4177
O39 0.1897 0.1106 0.0326
O40 0.7316 0.4183 0.7260
O41 0.5961 0.1390 0.7161
O42 0.2085 0.8789 0.4540
O43 0.8201 0.1285 0.3233
O44 0.3210 0.6322 0.8258
O45 0.7399 0.8229 0.3936
O46 0.7928 0.9415 0.9915
O47 0.0692 0.3827 0.0744
O48 0.4393 0.3619 0.7811
O49 0.9349 0.8526 0.2813
O50 0.4894 0.9416 0.3671
O51 0.0439 0.1870 0.7350
O52 0.4926 0.5704 0.6500
O53 0.5554 0.4122 0.1355
O54 0.3060 0.1594 0.3825
O55 0.8106 0.9551 0.7325
O56 0.6851 0.9015 0.1812
Ga1 0.0597 0.8183 0.1826
Ga2 0.4984 0.5011 0.2574
Ga3 0.3023 0.9670 0.3692
Ga4 0.7025 0.0357 0.6342
Ga5 0.0652 0.3026 0.9331
Ga6 0.2504 0.2500 0.7499
Ga7 0.7575 0.7567 0.9996
Ga8 0.5620 0.8036 0.4404
Ga9 0.4997 0.4999 0.5002
Ga10 0.0492 0.7156 0.6164
Ga11 0.5536 0.3159 0.6842
Ga12 0.8035 0.5589 0.4389
Ga13 0.3155 0.5540 0.6844
Ga14 0.9507 0.2806 0.3812
Ga15 0.3029 0.0674 0.9344
Ga16 0.2588 0.2567 0.5061
Ga17 0.0004 0.9998 0.9997
Ga18 0.0059 0.0061 0.7574
Ga19 0.1977 0.5357 0.1322
Ga20 0.4514 0.7832 0.8833
Ga21 0.8169 0.0591 0.1815
Ga22 0.5468 0.2183 0.1168
Ga23 0.7997 0.4636 0.8665
Mo1 0.7500 0.7499 0.2504
```

---

Entry 2:
Material: SrYCoO4
Method: DFT, PBE+U
State: optimized geometry

* energy of formation from the pure elements: -2.715 eV/atom
* symmetry: I4mm
* energy above the most stable polymorph in this dataset: 0.018 eV per atom
* uncorrected energy: -0.2608 Ha/atom

Cell and atoms, written as CIF:
```
data_SrYCoO4
_chemical_formula_sum 'Sr1 Y1 Co1 O4'
_space_group_name_H-M_alt 'P 1'
_space_group_IT_number 1
_cell_length_a 6.7047
_cell_length_b 6.7047
_cell_length_c 6.7047
_cell_angle_alpha 147.24
_cell_angle_beta 147.24
_cell_angle_gamma 47.01
loop_
_space_group_symop_operation_xyz
'x,y,z'
loop_
_atom_site_label
_atom_site_fract_x
_atom_site_fract_y
_atom_site_fract_z
O1 0.8374 0.8374 0.0000
O2 0.1801 0.1801 0.0000
O3 0.9877 0.4877 0.5000
O4 0.4877 0.9877 0.5000
Co1 0.0008 0.0008 0.0000
Sr1 0.6449 0.6449 0.0000
Y1 0.3613 0.3613 0.0000
```

---

Entry 3:
Material: Rb3ScV2O8
Method: DFT, PBE+U
State: optimized geometry

* energy of formation from the pure elements: -2.685 eV/atom
* symmetry: P-3m1
* uncorrected energy: -0.2512 Ha/atom

Cell and atoms, written as CIF:
```
data_Rb3ScV2O8
_chemical_formula_sum 'Rb3 Sc1 V2 O8'
_space_group_name_H-M_alt 'P 1'
_space_group_IT_number 1
_cell_length_a 5.9290
_cell_length_b 5.9290
_cell_length_c 7.9076
_cell_angle_alpha 90.00
_cell_angle_beta 90.00
_cell_angle_gamma 120.00
loop_
_space_group_symop_operation_xyz
'x,y,z'
loop_
_atom_site_label
_atom_site_fract_x
_atom_site_fract_y
_atom_site_fract_z
O1 0.3333 0.6667 0.0564
O2 0.8299 0.1701 0.6571
O3 0.6597 0.8299 0.3429
O4 0.6667 0.3333 0.9436
O5 0.1701 0.3403 0.3429
O6 0.3403 0.1701 0.6571
O7 0.8299 0.6597 0.6571
O8 0.1701 0.8299 0.3429
Rb1 0.0000 0.0000 0.0000
Rb2 0.6667 0.3333 0.2960
Rb3 0.3333 0.6667 0.7040
Sc1 0.0000 0.0000 0.5000
V1 0.3333 0.6667 0.2694
V2 0.6667 0.3333 0.7306
```

---

Entry 4:
Material: Li2VPO4F
Method: DFT, PBE+U
State: optimized geometry

* energy of formation from the pure elements: -2.728 eV/atom
* symmetry: P2_1/c
* energy above the most stable polymorph in this dataset: 0.018 eV per atom
* uncorrected energy: -0.2436 Ha/atom

Cell and atoms, written as CIF:
```
data_Li2VPO4F
_chemical_formula_sum 'Li16 V8 P8 O32 F8'
_space_group_name_H-M_alt 'P 1'
_space_group_IT_number 1
_cell_length_a 5.1104
_cell_length_b 13.0621
_cell_length_c 13.2179
_cell_angle_alpha 60.85
_cell_angle_beta 90.00
_cell_angle_gamma 90.00
loop_
_space_group_symop_operation_xyz
'x,y,z'
loop_
_atom_site_label
_atom_site_fract_x
_atom_site_fract_y
_atom_site_fract_z
V1 0.2197 0.8228 0.5715
V2 0.2247 0.6060 0.0714
V3 0.2803 0.3228 0.5715
V4 0.2753 0.1060 0.0714
V5 0.7803 0.1772 0.4285
V6 0.7247 0.8940 0.9286
V7 0.7197 0.6772 0.4285
V8 0.7753 0.3940 0.9286
O1 0.0951 0.4121 0.6615
O2 0.8112 0.0435 0.6078
O3 0.4049 0.9121 0.6615
O4 0.6997 0.8566 0.2951
O5 0.9049 0.5879 0.3385
O6 0.8264 0.8512 0.6044
O7 0.3003 0.1434 0.7049
O8 0.6912 0.3524 0.7941
O9 0.1737 0.4531 0.8914
O10 0.5951 0.0879 0.3385
O11 0.0908 0.9260 0.1562
O12 0.4092 0.4260 0.1562
O13 0.5908 0.5740 0.8438
O14 0.1736 0.1488 0.3956
O15 0.8003 0.3566 0.2951
O16 0.9092 0.0740 0.8438
O17 0.6737 0.0469 0.1086
O18 0.6888 0.5435 0.6078
O19 0.3264 0.6488 0.3956
O20 0.8088 0.8524 0.7941
O21 0.1694 0.6464 0.8938
O22 0.6736 0.3512 0.6044
O23 0.8263 0.5469 0.1086
O24 0.3263 0.9531 0.8914
O25 0.1888 0.9565 0.3922
O26 0.3112 0.4565 0.3922
O27 0.8306 0.3536 0.1062
O28 0.1912 0.1476 0.2059
O29 0.1997 0.6434 0.7049
O30 0.3088 0.6476 0.2059
O31 0.3306 0.1464 0.8938
O32 0.6694 0.8536 0.1062
P1 0.7884 0.4149 0.6670
P2 0.2157 0.0793 0.8340
P3 0.7843 0.9207 0.1660
P4 0.7157 0.4207 0.1660
P5 0.7116 0.9149 0.6670
P6 0.2884 0.0851 0.3330
P7 0.2843 0.5793 0.8340
P8 0.2116 0.5851 0.3330
F1 0.5301 0.7635 0.5094
F2 0.4699 0.2365 0.4906
F3 0.5294 0.7307 0.9906
F4 0.9706 0.2307 0.9906
F5 0.0301 0.7365 0.4906
F6 0.4706 0.2693 0.0094
F7 0.9699 0.2635 0.5094
F8 0.0294 0.7693 0.0094
Li1 0.7265 0.1673 0.9167
Li2 0.7735 0.6673 0.9167
Li3 0.2735 0.8327 0.0833
Li4 0.7827 0.1714 0.1633
Li5 0.2173 0.8286 0.8367
Li6 0.2654 0.8346 0.3370
Li7 0.7346 0.1654 0.6630
Li8 0.7670 0.9129 0.4180
Li9 0.7654 0.6654 0.6630
Li10 0.2670 0.5871 0.5820
Li11 0.2330 0.0871 0.5820
Li12 0.7330 0.4129 0.4180
Li13 0.2827 0.3286 0.8367
Li14 0.7173 0.6714 0.1633
Li15 0.2265 0.3327 0.0833
Li16 0.2346 0.3346 0.3370
```

---

Entry 5:
Material: K3NaCr2O8
Method: DFT, PBE+U
State: optimized geometry

* energy of formation from the pure elements: -2.054 eV/atom
* symmetry: C2/c
* energy above the most stable polymorph in this dataset: 0.000 eV per atom
* uncorrected energy: -0.2174 Ha/atom

Cell and atoms, written as CIF:
```
data_K3NaCr2O8
_chemical_formula_sum 'K6 Na2 Cr4 O16'
_space_group_name_H-M_alt 'P 1'
_space_group_IT_number 1
_cell_length_a 5.9565
_cell_length_b 5.9565
_cell_length_c 15.2999
_cell_angle_alpha 89.91
_cell_angle_beta 89.91
_cell_angle_gamma 59.85
loop_
_space_group_symop_operation_xyz
'x,y,z'
loop_
_atom_site_label
_atom_site_fract_x
_atom_site_fract_y
_atom_site_fract_z
Cr1 0.6797 0.6463 0.6341
Cr2 0.3203 0.3537 0.3659
Cr3 0.6463 0.6797 0.1341
Cr4 0.3537 0.3203 0.8659
K1 0.3490 0.3102 0.5892
K2 0.9455 0.0545 0.2500
K3 0.6510 0.6898 0.4108
K4 0.3102 0.3490 0.0892
K5 0.0545 0.9455 0.7500
K6 0.6898 0.6510 0.9108
O1 0.7797 0.8469 0.0934
O2 0.8462 0.3260 0.6167
O3 0.3260 0.8462 0.1167
O4 0.6740 0.1538 0.8833
O5 0.6044 0.2263 0.4189
O6 0.7130 0.6222 0.2391
O7 0.6222 0.7130 0.7391
O8 0.1531 0.2203 0.4066
O9 0.8469 0.7797 0.5934
O10 0.2263 0.6044 0.9189
O11 0.2870 0.3778 0.7609
O12 0.3778 0.2870 0.2609
O13 0.3956 0.7737 0.5811
O14 0.7737 0.3956 0.0811
O15 0.2203 0.1531 0.9066
O16 0.1538 0.6740 0.3833
Na1 0.0000 0.0000 0.5000
Na2 0.0000 0.0000 0.0000
```

---

What is the uncorrected energy in the first record?
-0.2529 Ha/atom